# Mg5Bi, optimized geometry, DFT r²SCAN
data_Mg5Bi
_chemical_formula_sum 'Mg10 Bi2'
_cell_length_a 5.207
_cell_length_b 3.358
_cell_length_c 16.419
_cell_angle_alpha 90.00
_cell_angle_beta 90.00
_cell_angle_gamma 90.00
_symmetry_space_group_name_H-M 'A m m 2'
_symmetry_Int_Tables_number 38
_symmetry_space_group_name_Hall 'A 2 -2'
loop_
_atom_site_label
_atom_site_fract_x
_atom_site_fract_y
_atom_site_fract_z
Mg1 0.000 0.000 0.000
Mg2 0.000 0.000 0.327
Mg3 0.000 0.000 0.662
Mg4 0.500 0.000 0.211
Mg5 0.500 0.000 0.553
Bi1 0.500 0.000 0.884
# - energy (eV/atom) = -13.23
# - crystal system = orthorhombic
# - size of the total moment (μB per atom) = 0.00

# Ba2SrI6, optimized geometry, DFT r²SCAN
data_Ba2SrI6
_chemical_formula_sum 'Ba8 Sr4 I24'
_cell_length_a 8.598
_cell_length_b 8.296
_cell_length_c 25.096
_cell_angle_alpha 90.00
_cell_angle_beta 92.80
_cell_angle_gamma 90.00
_symmetry_space_group_name_H-M 'P 1 21/c 1'
_symmetry_Int_Tables_number 14
_symmetry_space_group_name_Hall '-P 2ybc'
loop_
_atom_site_label
_atom_site_fract_x
_atom_site_fract_y
_atom_site_fract_z
Ba1 0.173 0.020 0.092
Ba2 0.270 0.055 0.761
Sr1 0.342 0.535 0.911
I1 0.032 0.749 0.313
I2 0.087 0.235 0.360
I3 0.137 0.709 0.478
I4 0.367 0.202 0.515
I5 0.424 0.713 0.160
I6 0.475 0.212 0.172
# - energy (eV/atom) = -25.92
# - crystal system = monoclinic
# - distance to the lowest polymorph of the same formula (eV per formula unit) = 0.23
# - size of the total moment (μB per atom) = 0.00

# LuInPt2, optimized geometry, DFT r²SCAN
data_LuInPt2
_chemical_formula_sum 'Lu4 In4 Pt8'
_cell_length_a 6.669
_cell_length_b 6.669
_cell_length_c 6.669
_cell_angle_alpha 90.00
_cell_angle_beta 90.00
_cell_angle_gamma 90.00
_symmetry_space_group_name_H-M 'F m -3 m'
_symmetry_Int_Tables_number 225
_symmetry_space_group_name_Hall '-F 4 2 3'
loop_
_atom_site_label
_atom_site_fract_x
_atom_site_fract_y
_atom_site_fract_z
Lu1 0.000 0.000 0.000
In1 0.000 0.000 0.500
Pt1 0.250 0.250 0.250
# - energy (eV/atom) = -41.97
# - crystal system = cubic
# - size of the total moment (μB per atom) = 0.00

# ZrB12, optimized geometry, DFT r²SCAN
data_ZrB12
_chemical_formula_sum 'Zr4 B48'
_cell_length_a 7.395
_cell_length_b 7.395
_cell_length_c 7.395
_cell_angle_alpha 90.00
_cell_angle_beta 90.00
_cell_angle_gamma 90.00
_symmetry_space_group_name_H-M 'F m -3 m'
_symmetry_Int_Tables_number 225
_symmetry_space_group_name_Hall '-F 4 2 3'
loop_
_atom_site_label
_atom_site_fract_x
_atom_site_fract_y
_atom_site_fract_z
Zr1 0.000 0.000 0.000
B1 0.000 0.170 0.330
# - energy (eV/atom) = -8.76
# - crystal system = cubic
# - size of the total moment (μB per atom) = 0.00

# NaSe2, optimized geometry, DFT r²SCAN
data_NaSe2
_chemical_formula_sum 'Na16 Se32'
_cell_length_a 10.303
_cell_length_b 10.303
_cell_length_c 11.992
_cell_angle_alpha 90.00
_cell_angle_beta 90.00
_cell_angle_gamma 90.00
_symmetry_space_group_name_H-M 'I -4 2 d'
_symmetry_Int_Tables_number 122
_symmetry_space_group_name_Hall 'I -4 2bw'
loop_
_atom_site_label
_atom_site_fract_x
_atom_site_fract_y
_atom_site_fract_z
Na1 0.000 0.000 0.203
Na2 0.239 0.750 0.125
Se1 0.019 0.725 0.299
Se2 0.128 0.142 0.590
# - energy (eV/atom) = -11.41
# - crystal system = tetragonal
# - size of the total moment (μB per atom) = 0.00

# CrSi2, optimized geometry, DFT r²SCAN
data_CrSi2
_chemical_formula_sum 'Cr3 Si6'
_cell_length_a 4.3656
_cell_length_b 4.3656
_cell_length_c 6.3120
_cell_angle_alpha 90.00
_cell_angle_beta 90.00
_cell_angle_gamma 120.00
_symmetry_space_group_name_H-M 'P 64 2 2'
_symmetry_Int_Tables_number 181
_symmetry_space_group_name_Hall 'P 64 2 (0 0 2)'
loop_
_atom_site_label
_atom_site_fract_x
_atom_site_fract_y
_atom_site_fract_z
Cr1 0.0000 0.5000 0.3333
Si1 0.1662 0.3324 0.0000
# - energy (eV/atom) = -11.11
# - crystal system = hexagonal
# - size of the total moment (μB per atom) = 0.00